Entry 1:
# Na6Nb4In4Si7S5O48 (PBE, relaxed)
data_Na6Nb4In4Si7S5O48
_symmetry_space_group_name_H-M 'P 1'
_symmetry_Int_Tables_number 1
_symmetry_space_group_name_Hall 'P 1'
_cell_length_a 9.002
_cell_length_b 15.686
_cell_length_c 22.884
_cell_angle_alpha 89.95
_cell_angle_beta 89.96
_cell_angle_gamma 89.96
loop_
_atom_site_label
_atom_site_type_symbol
_atom_site_fract_x
_atom_site_fract_y
_atom_site_fract_z
Na1 Na 0.000 0.000 0.000
Na2 Na 0.000 0.336 0.663
Na3 Na 0.021 0.677 0.331
Na4 Na 0.036 0.332 0.174
Na5 Na 0.139 0.504 0.737
Na6 Na 0.373 0.003 0.246
Na7 Na 0.473 0.828 0.672
Na8 Na 0.487 0.176 0.823
Na9 Na 0.506 0.172 0.337
Na10 Na 0.510 0.834 0.165
Na11 Na 0.511 0.508 0.502
Na12 Na 0.532 0.509 0.995
Na13 Na 0.619 0.006 0.745
Na14 Na 0.648 0.336 0.421
Na15 Na 0.858 0.835 0.917
Na16 Na 0.887 0.506 0.250
Na17 Na 0.975 0.007 0.498
Na18 Na 0.999 0.673 0.830
Nb1 Nb 0.007 0.004 0.357
Nb2 Nb 0.020 0.998 0.642
Nb3 Nb 0.026 0.001 0.146
Nb4 Nb 0.485 0.506 0.641
Nb5 Nb 0.487 0.499 0.142
Nb6 Nb 0.502 0.505 0.854
Nb7 Nb 0.504 0.172 0.979
Nb8 Nb 0.522 0.839 0.016
Nb9 Nb 0.523 0.840 0.526
Nb10 Nb 0.983 0.340 0.516
Nb11 Nb 0.988 0.670 0.483
Nb12 Nb 0.992 0.347 0.022
In1 In 0.002 0.332 0.812
In2 In 0.009 0.675 0.186
In3 In 0.010 0.007 0.854
In4 In 0.014 0.340 0.312
In5 In 0.021 0.672 0.678
In6 In 0.481 0.170 0.182
In7 In 0.494 0.840 0.811
In8 In 0.496 0.508 0.356
In9 In 0.497 0.175 0.685
In10 In 0.503 0.831 0.315
In11 In 0.525 0.172 0.488
In12 In 0.982 0.674 0.988
Si1 Si 0.141 0.521 0.582
Si2 Si 0.146 0.151 0.251
Si3 Si 0.154 0.856 0.253
Si4 Si 0.157 0.814 0.580
Si5 Si 0.209 0.508 0.253
Si6 Si 0.298 0.008 0.752
Si7 Si 0.352 0.315 0.081
Si8 Si 0.356 0.652 0.749
Si9 Si 0.357 0.359 0.750
Si10 Si 0.364 0.022 0.083
Si11 Si 0.645 0.319 0.583
Si12 Si 0.650 0.693 0.912
Si13 Si 0.654 0.026 0.589
Si14 Si 0.654 0.987 0.910
Si15 Si 0.713 0.337 0.913
Si16 Si 0.714 0.670 0.588
Si17 Si 0.794 0.835 0.413
Si18 Si 0.852 0.528 0.089
Si19 Si 0.855 0.194 0.411
Si20 Si 0.855 0.488 0.409
Si21 Si 0.860 0.821 0.083
S1 S 0.150 0.486 0.917
S2 S 0.151 0.193 0.919
S3 S 0.202 0.172 0.581
S4 S 0.208 0.834 0.919
S5 S 0.300 0.334 0.419
S6 S 0.304 0.672 0.081
S7 S 0.353 0.694 0.420
S8 S 0.358 0.987 0.416
S9 S 0.642 0.649 0.247
S10 S 0.643 0.357 0.247
S11 S 0.721 0.007 0.249
S12 S 0.788 0.506 0.750
S13 S 0.796 0.172 0.082
S14 S 0.863 0.149 0.748
S15 S 0.865 0.858 0.749
O1 O 0.068 0.768 0.527
O2 O 0.069 0.242 0.251
O3 O 0.072 0.548 0.645
O4 O 0.075 0.766 0.249
O5 O 0.081 0.108 0.921
O6 O 0.083 0.913 0.589
O7 O 0.084 0.425 0.566
O8 O 0.087 0.097 0.192
O9 O 0.087 0.912 0.308
O10 O 0.090 0.448 0.863
O11 O 0.092 0.243 0.969
O12 O 0.092 0.572 0.924
O13 O 0.097 0.088 0.306
O14 O 0.100 0.095 0.588
O15 O 0.101 0.591 0.249
O16 O 0.102 0.247 0.574
O17 O 0.102 0.589 0.530
O18 O 0.108 0.911 0.921
O19 O 0.110 0.431 0.969
O20 O 0.111 0.421 0.248
O21 O 0.115 0.756 0.923
O22 O 0.118 0.918 0.193
O23 O 0.131 0.237 0.863
O24 O 0.154 0.764 0.641
O25 O 0.173 0.360 0.754
O26 O 0.174 0.330 0.067
O27 O 0.174 0.649 0.751
O28 O 0.178 0.017 0.087
O29 O 0.184 0.003 0.693
O30 O 0.188 0.990 0.414
O31 O 0.191 0.682 0.426
O32 O 0.197 0.340 0.469
O33 O 0.202 0.017 0.812
O34 O 0.213 0.655 0.029
O35 O 0.220 0.686 0.135
O36 O 0.221 0.329 0.362
O37 O 0.286 0.186 0.635
O38 O 0.288 0.830 0.863
O39 O 0.293 0.155 0.529
O40 O 0.309 0.515 0.310
O41 O 0.310 0.841 0.970
O42 O 0.317 0.182 0.925
O43 O 0.317 0.487 0.916
O44 O 0.321 0.503 0.192
O45 O 0.326 0.514 0.585
O46 O 0.329 0.148 0.252
O47 O 0.330 0.835 0.564
O48 O 0.337 0.858 0.254
O49 O 0.363 0.264 0.141
O50 O 0.374 0.736 0.362
O51 O 0.392 0.422 0.694
O52 O 0.394 0.256 0.423
O53 O 0.396 0.933 0.466
O54 O 0.397 0.921 0.748
O55 O 0.399 0.410 0.420
O56 O 0.403 0.747 0.074
O57 O 0.406 0.091 0.031
O58 O 0.406 0.091 0.748
O59 O 0.407 0.588 0.806
O60 O 0.407 0.595 0.088
O61 O 0.413 0.075 0.422
O62 O 0.413 0.952 0.359
O63 O 0.414 0.598 0.691
O64 O 0.416 0.745 0.467
O65 O 0.419 0.926 0.066
O66 O 0.421 0.414 0.088
O67 O 0.422 0.412 0.809
O68 O 0.428 0.609 0.421
O69 O 0.432 0.268 0.749
O70 O 0.436 0.049 0.145
O71 O 0.436 0.269 0.027
O72 O 0.436 0.742 0.752
O73 O 0.567 0.733 0.245
O74 O 0.570 0.598 0.907
O75 O 0.573 0.292 0.521
O76 O 0.575 0.060 0.647
O77 O 0.581 0.741 0.972
O78 O 0.583 0.270 0.241
O79 O 0.583 0.415 0.597
O80 O 0.584 0.081 0.930
O81 O 0.585 0.955 0.850
O82 O 0.587 0.599 0.196
O83 O 0.589 0.394 0.302
O84 O 0.589 0.411 0.195
O85 O 0.589 0.927 0.576
O86 O 0.601 0.751 0.572
O87 O 0.606 0.254 0.928
O88 O 0.609 0.586 0.594
O89 O 0.611 0.424 0.909
O90 O 0.612 0.919 0.965
O91 O 0.613 0.603 0.303
O92 O 0.620 0.932 0.250
O93 O 0.628 0.760 0.859
O94 O 0.629 0.254 0.636
O95 O 0.630 0.087 0.248
O96 O 0.641 0.079 0.529
O97 O 0.672 0.488 0.413
O98 O 0.672 0.510 0.097
O99 O 0.675 0.183 0.417
O100 O 0.675 0.833 0.074
O101 O 0.681 0.849 0.469
O102 O 0.693 0.500 0.699
O103 O 0.696 0.508 0.806
O104 O 0.700 0.158 0.746
O105 O 0.701 0.163 0.029
O106 O 0.701 0.859 0.744
O107 O 0.702 0.817 0.353
O108 O 0.709 0.190 0.135
O109 O 0.805 0.658 0.245
O110 O 0.806 0.359 0.242
O111 O 0.809 0.316 0.856
O112 O 0.810 0.010 0.304
O113 O 0.812 0.693 0.644
O114 O 0.815 0.658 0.528
O115 O 0.817 0.000 0.197
O116 O 0.827 0.349 0.970
O117 O 0.831 0.332 0.573
O118 O 0.831 0.684 0.918
O119 O 0.835 0.010 0.599
O120 O 0.836 0.989 0.913
O121 O 0.871 0.579 0.029
O122 O 0.878 0.258 0.358
O123 O 0.881 0.583 0.752
O124 O 0.883 0.758 0.137
O125 O 0.887 0.429 0.752
O126 O 0.890 0.096 0.086
O127 O 0.894 0.105 0.804
O128 O 0.895 0.924 0.407
O129 O 0.896 0.419 0.463
O130 O 0.898 0.248 0.073
O131 O 0.905 0.754 0.425
O132 O 0.913 0.897 0.805
O133 O 0.917 0.912 0.698
O134 O 0.918 0.099 0.698
O135 O 0.918 0.453 0.348
O136 O 0.918 0.921 0.096
O137 O 0.920 0.427 0.075
O138 O 0.925 0.240 0.471
O139 O 0.928 0.581 0.425
O140 O 0.929 0.772 0.746
O141 O 0.932 0.559 0.147
O142 O 0.934 0.795 0.021
O143 O 0.935 0.098 0.407
O144 O 0.939 0.234 0.746
# size of the total moment: 0.00 μB/f.u.
# E (MP2020): -1628.2 eV for the cell shown
# crystal system: triclinic

Entry 2:
# Ge3Pt (PBE, relaxed)
data_Ge3Pt
_symmetry_space_group_name_H-M 'P 63/m m c'
_symmetry_Int_Tables_number 194
_symmetry_space_group_name_Hall '-P 6c 2c'
_cell_length_a 6.7883
_cell_length_b 6.7883
_cell_length_c 3.8828
_cell_angle_alpha 90.00
_cell_angle_beta 90.00
_cell_angle_gamma 120.00
loop_
_atom_site_label
_atom_site_type_symbol
_atom_site_fract_x
_atom_site_fract_y
_atom_site_fract_z
Ge1 Ge 0.1828 0.3655 0.2500
Pt1 Pt 0.3333 0.6667 0.7500
# size of the total moment: 0.00 μB/f.u.
# crystal system: hexagonal

Entry 3:
# BaSr2ScInO6 (PBE, relaxed)
data_BaSr2ScInO6
_symmetry_space_group_name_H-M 'I 4 m m'
_symmetry_Int_Tables_number 107
_symmetry_space_group_name_Hall 'I 4 -2'
_cell_length_a 4.159
_cell_length_b 4.159
_cell_length_c 20.846
_cell_angle_alpha 90.00
_cell_angle_beta 90.00
_cell_angle_gamma 90.00
loop_
_atom_site_label
_atom_site_type_symbol
_atom_site_fract_x
_atom_site_fract_y
_atom_site_fract_z
Ba1 Ba 0.000 0.000 0.000
Sr1 Sr 0.000 0.000 0.180
Sr2 Sr 0.000 0.000 0.363
Sc1 Sc 0.000 0.000 0.582
In1 In 0.000 0.000 0.779
O1 O 0.000 0.000 0.486
O2 O 0.000 0.000 0.879
O3 O 0.000 0.500 0.101
O4 O 0.000 0.500 0.261
# size of the total moment: 0.00 μB/f.u.
# E (MP2020): -153.9 eV for the cell shown
# crystal system: tetragonal

Entry 4:
# NdAlNi4 (PBE, relaxed)
data_NdAlNi4
_symmetry_space_group_name_H-M 'C m m m'
_symmetry_Int_Tables_number 65
_symmetry_space_group_name_Hall '-C 2 2'
_cell_length_a 5.108
_cell_length_b 8.506
_cell_length_c 4.040
_cell_angle_alpha 90.00
_cell_angle_beta 90.00
_cell_angle_gamma 90.00
loop_
_atom_site_label
_atom_site_type_symbol
_atom_site_fract_x
_atom_site_fract_y
_atom_site_fract_z
Nd1 Nd 0.000 0.000 0.000
Al1 Al 0.000 0.500 0.500
Ni1 Ni 0.000 0.333 0.000
Ni2 Ni 0.250 0.250 0.500
# crystal system: orthorhombic

Entry 5:
# Ca2FeN2 (PBE, relaxed)
data_Ca2FeN2
_symmetry_space_group_name_H-M 'C 1 2/m 1'
_symmetry_Int_Tables_number 12
_symmetry_space_group_name_Hall '-C 2y'
_cell_length_a 10.875
_cell_length_b 4.964
_cell_length_c 6.714
_cell_angle_alpha 90.00
_cell_angle_beta 121.38
_cell_angle_gamma 90.00
loop_
_atom_site_label
_atom_site_type_symbol
_atom_site_fract_x
_atom_site_fract_y
_atom_site_fract_z
Ca1 Ca 0.041 0.000 0.275
Ca2 Ca 0.181 0.500 0.102
Fe1 Fe 0.127 0.500 0.629
N1 N 0.019 0.500 0.304
N2 N 0.191 0.000 0.120
# size of the total moment: 2.00 μB/f.u.
# E (MP2020): -133.8 eV for the cell shown
# crystal system: monoclinic

Entry 6:
# Ho4CdRh (PBE, relaxed)
data_Ho4CdRh
_symmetry_space_group_name_H-M 'F -4 3 m'
_symmetry_Int_Tables_number 216
_symmetry_space_group_name_Hall 'F -4 2 3'
_cell_length_a 13.542
_cell_length_b 13.542
_cell_length_c 13.542
_cell_angle_alpha 90.00
_cell_angle_beta 90.00
_cell_angle_gamma 90.00
loop_
_atom_site_label
_atom_site_type_symbol
_atom_site_fract_x
_atom_site_fract_y
_atom_site_fract_z
Ho1 Ho 0.000 0.000 0.186
Ho2 Ho 0.061 0.250 0.250
Ho3 Ho 0.100 0.100 0.600
Cd1 Cd 0.169 0.169 0.831
Rh1 Rh 0.107 0.107 0.393
# crystal system: cubic

Entry 7:
# ScC2 (PBE, relaxed)
data_ScC2
_symmetry_space_group_name_H-M 'R -3 m'
_symmetry_Int_Tables_number 166
_symmetry_space_group_name_Hall '-R 3 2"'
_cell_length_a 2.7200
_cell_length_b 2.7200
_cell_length_c 12.7010
_cell_angle_alpha 90.00
_cell_angle_beta 90.00
_cell_angle_gamma 120.00
loop_
_atom_site_label
_atom_site_type_symbol
_atom_site_fract_x
_atom_site_fract_y
_atom_site_fract_z
Sc1 Sc 0.0000 0.0000 0.0000
C1 C 0.0000 0.0000 0.1842
# size of the total moment: 0.00 μB/f.u.
# crystal system: trigonal

Entry 8:
# SrPb (PBE, relaxed)
data_SrPb
_symmetry_space_group_name_H-M 'C m c m'
_symmetry_Int_Tables_number 63
_symmetry_space_group_name_Hall '-C 2c 2'
_cell_length_a 5.129
_cell_length_b 12.445
_cell_length_c 4.707
_cell_angle_alpha 90.00
_cell_angle_beta 90.00
_cell_angle_gamma 90.00
loop_
_atom_site_label
_atom_site_type_symbol
_atom_site_fract_x
_atom_site_fract_y
_atom_site_fract_z
Sr1 Sr 0.000 0.134 0.250
Pb1 Pb 0.000 0.415 0.250
# crystal system: orthorhombic

Entry 9:
# Rb2NaTaBr6 (PBE, relaxed)
data_Rb2NaTaBr6
_symmetry_space_group_name_H-M 'F m -3 m'
_symmetry_Int_Tables_number 225
_symmetry_space_group_name_Hall '-F 4 2 3'
_cell_length_a 11.079
_cell_length_b 11.079
_cell_length_c 11.079
_cell_angle_alpha 90.00
_cell_angle_beta 90.00
_cell_angle_gamma 90.00
loop_
_atom_site_label
_atom_site_type_symbol
_atom_site_fract_x
_atom_site_fract_y
_atom_site_fract_z
Rb1 Rb 0.250 0.250 0.250
Na1 Na 0.000 0.000 0.000
Ta1 Ta 0.000 0.000 0.500
Br1 Br 0.000 0.000 0.262
# size of the total moment: 2.00 μB/f.u.
# E (MP2020): -163.2 eV for the cell shown
# crystal system: cubic

Entry 10:
# KSrCeBiO6 (PBE, relaxed)
data_KSrCeBiO6
_symmetry_space_group_name_H-M 'P n n n'
_symmetry_Int_Tables_number 48
_cell_length_a 8.621
_cell_length_b 8.641
_cell_length_c 8.642
_cell_angle_alpha 90.00
_cell_angle_beta 90.00
_cell_angle_gamma 90.00
loop_
_symmetry_equiv_pos_as_xyz
'x,y,z'
'-x,-y,-z'
'-x+1/2,-y+1/2,z'
'x+1/2,y+1/2,-z'
'x,-y+1/2,-z+1/2'
'-x,y+1/2,z+1/2'
'-x+1/2,y,-z+1/2'
'x+1/2,-y,z+1/2'
loop_
_atom_site_label
_atom_site_type_symbol
_atom_site_fract_x
_atom_site_fract_y
_atom_site_fract_z
K1 K 0.250 0.250 0.250
K2 K 0.250 0.750 0.750
Sr1 Sr 0.250 0.250 0.750
Sr2 Sr 0.250 0.750 0.250
Ce1 Ce 0.000 0.000 0.000
Bi1 Bi 0.000 0.000 0.500
O1 O 0.025 0.043 0.743
O2 O 0.030 0.745 0.985
O3 O 0.245 0.023 0.472
# size of the total moment: 0.00 μB/f.u.
# E (MP2020): -273.5 eV for the cell shown
# crystal system: orthorhombic
# E above lowest polymorph: 0.000 eV/atom

Entry 11:
# Pb5S2I6 (PBE, relaxed)
data_Pb5S2I6
_symmetry_space_group_name_H-M 'C 1 2/m 1'
_symmetry_Int_Tables_number 12
_symmetry_space_group_name_Hall '-C 2y'
_cell_length_a 15.067
_cell_length_b 4.517
_cell_length_c 15.010
_cell_angle_alpha 90.00
_cell_angle_beta 98.48
_cell_angle_gamma 90.00
loop_
_atom_site_label
_atom_site_type_symbol
_atom_site_fract_x
_atom_site_fract_y
_atom_site_fract_z
Pb1 Pb 0.000 0.000 0.000
Pb2 Pb 0.131 0.000 0.472
Pb3 Pb 0.224 0.000 0.758
S1 S 0.215 0.500 0.406
I1 I 0.082 0.500 0.643
I2 I 0.122 0.000 0.202
I3 I 0.130 0.500 0.934
# size of the total moment: 0.00 μB/f.u.
# E (MP2020): -94.2 eV for the cell shown
# crystal system: monoclinic

Entry 12:
# LaEuZn2 (PBE, relaxed)
data_LaEuZn2
_symmetry_space_group_name_H-M 'F m -3 m'
_symmetry_Int_Tables_number 225
_symmetry_space_group_name_Hall '-F 4 2 3'
_cell_length_a 7.461
_cell_length_b 7.461
_cell_length_c 7.461
_cell_angle_alpha 90.00
_cell_angle_beta 90.00
_cell_angle_gamma 90.00
loop_
_atom_site_label
_atom_site_type_symbol
_atom_site_fract_x
_atom_site_fract_y
_atom_site_fract_z
La1 La 0.000 0.000 0.000
Eu1 Eu 0.000 0.000 0.500
Zn1 Zn 0.250 0.250 0.250
# crystal system: cubic

Formation energy? In order: -187.23 0.27 -32.88 -2.82 -4.30 -2.98 0.76 -1.09 -15.85 -26.06 -11.10 -1.18 eV per formula unit.